(1)
# Na6Ta4Ga4Si7S5O48, optimized geometry, DFT GGA-PBE
data_Na6Ta4Ga4Si7S5O48
_chemical_formula_sum 'Na18 Ta12 Ga12 Si21 S15 O144'
_cell_length_a 8.772
_cell_length_b 15.312
_cell_length_c 22.539
_cell_angle_alpha 89.74
_cell_angle_beta 89.87
_cell_angle_gamma 90.00
_symmetry_space_group_name_H-M 'P 1'
_symmetry_Int_Tables_number 1
loop_
_symmetry_equiv_pos_as_xyz
'x,y,z'
loop_
_atom_site_label
_atom_site_type_symbol
_atom_site_fract_x
_atom_site_fract_y
_atom_site_fract_z
Na1 Na 0.000 0.000 0.000
Na2 Na 0.001 0.672 0.333
Na3 Na 0.011 0.000 0.503
Na4 Na 0.117 0.502 0.752
Na5 Na 0.135 0.169 0.083
Na6 Na 0.360 0.670 0.585
Na7 Na 0.377 0.002 0.250
Na8 Na 0.484 0.502 0.001
Na9 Na 0.495 0.170 0.835
Na10 Na 0.497 0.833 0.669
Na11 Na 0.498 0.504 0.503
Na12 Na 0.504 0.833 0.170
Na13 Na 0.513 0.170 0.326
Na14 Na 0.637 0.001 0.757
Na15 Na 0.859 0.502 0.252
Na16 Na 0.984 0.673 0.829
Na17 Na 0.990 0.333 0.675
Na18 Na 0.998 0.333 0.166
Ta1 Ta 0.013 0.666 0.973
Ta2 Ta 0.015 0.667 0.481
Ta3 Ta 0.478 0.166 0.981
Ta4 Ta 0.485 0.836 0.022
Ta5 Ta 0.489 0.161 0.477
Ta6 Ta 0.502 0.503 0.145
Ta7 Ta 0.507 0.507 0.857
Ta8 Ta 0.515 0.506 0.354
Ta9 Ta 0.982 0.001 0.858
Ta10 Ta 0.987 0.006 0.357
Ta11 Ta 0.994 0.003 0.648
Ta12 Ta 0.995 0.334 0.525
Ga1 Ga 0.032 0.332 0.015
Ga2 Ga 0.463 0.831 0.515
Ga3 Ga 0.496 0.175 0.688
Ga4 Ga 0.499 0.501 0.651
Ga5 Ga 0.503 0.835 0.313
Ga6 Ga 0.505 0.169 0.186
Ga7 Ga 0.516 0.835 0.823
Ga8 Ga 0.964 0.336 0.317
Ga9 Ga 0.990 0.670 0.688
Ga10 Ga 0.991 0.335 0.814
Ga11 Ga 0.991 0.997 0.147
Ga12 Ga 0.993 0.676 0.184
Si1 Si 0.132 0.195 0.915
Si2 Si 0.139 0.472 0.914
Si3 Si 0.142 0.813 0.588
Si4 Si 0.150 0.523 0.591
Si5 Si 0.213 0.168 0.589
Si6 Si 0.217 0.838 0.911
Si7 Si 0.280 0.670 0.089
Si8 Si 0.347 0.022 0.092
Si9 Si 0.352 0.312 0.088
Si10 Si 0.354 0.972 0.414
Si11 Si 0.360 0.694 0.415
Si12 Si 0.634 0.980 0.917
Si13 Si 0.640 0.351 0.250
Si14 Si 0.642 0.695 0.918
Si15 Si 0.649 0.656 0.248
Si16 Si 0.704 0.001 0.246
Si17 Si 0.790 0.501 0.746
Si18 Si 0.847 0.850 0.751
Si19 Si 0.848 0.153 0.750
Si20 Si 0.854 0.194 0.418
Si21 Si 0.859 0.480 0.416
S1 S 0.138 0.151 0.251
S2 S 0.138 0.857 0.250
S3 S 0.209 0.500 0.251
S4 S 0.283 0.335 0.416
S5 S 0.287 0.002 0.751
S6 S 0.356 0.357 0.750
S7 S 0.356 0.649 0.750
S8 S 0.637 0.313 0.584
S9 S 0.639 0.022 0.584
S10 S 0.707 0.671 0.584
S11 S 0.711 0.334 0.919
S12 S 0.783 0.834 0.419
S13 S 0.787 0.171 0.084
S14 S 0.854 0.813 0.084
S15 S 0.857 0.522 0.084
O1 O 0.062 0.225 0.979
O2 O 0.063 0.438 0.853
O3 O 0.063 0.770 0.247
O4 O 0.064 0.910 0.593
O5 O 0.066 0.768 0.527
O6 O 0.070 0.565 0.648
O7 O 0.070 0.573 0.924
O8 O 0.071 0.095 0.906
O9 O 0.071 0.238 0.260
O10 O 0.072 0.112 0.197
O11 O 0.073 0.428 0.575
O12 O 0.073 0.900 0.304
O13 O 0.104 0.082 0.592
O14 O 0.104 0.753 0.925
O15 O 0.105 0.254 0.577
O16 O 0.106 0.090 0.305
O17 O 0.106 0.923 0.908
O18 O 0.108 0.578 0.246
O19 O 0.113 0.257 0.858
O20 O 0.115 0.420 0.256
O21 O 0.116 0.912 0.196
O22 O 0.117 0.423 0.976
O23 O 0.119 0.586 0.530
O24 O 0.119 0.745 0.642
O25 O 0.158 0.017 0.095
O26 O 0.165 0.320 0.081
O27 O 0.169 0.989 0.406
O28 O 0.171 0.683 0.424
O29 O 0.175 0.655 0.030
O30 O 0.175 0.684 0.147
O31 O 0.188 0.651 0.749
O32 O 0.188 0.992 0.696
O33 O 0.189 0.349 0.754
O34 O 0.190 0.348 0.471
O35 O 0.191 0.016 0.803
O36 O 0.193 0.319 0.363
O37 O 0.305 0.489 0.197
O38 O 0.306 0.153 0.250
O39 O 0.306 0.514 0.305
O40 O 0.306 0.849 0.255
O41 O 0.312 0.851 0.974
O42 O 0.319 0.817 0.855
O43 O 0.320 0.157 0.529
O44 O 0.322 0.183 0.924
O45 O 0.323 0.185 0.645
O46 O 0.325 0.488 0.905
O47 O 0.329 0.820 0.580
O48 O 0.338 0.516 0.594
O49 O 0.375 0.086 0.031
O50 O 0.375 0.247 0.143
O51 O 0.379 0.411 0.695
O52 O 0.381 0.414 0.412
O53 O 0.381 0.924 0.477
O54 O 0.382 0.924 0.752
O55 O 0.384 0.755 0.358
O56 O 0.386 0.081 0.744
O57 O 0.386 0.257 0.426
O58 O 0.387 0.589 0.803
O59 O 0.389 0.582 0.093
O60 O 0.393 0.754 0.080
O61 O 0.419 0.608 0.695
O62 O 0.420 0.591 0.406
O63 O 0.422 0.400 0.803
O64 O 0.423 0.066 0.149
O65 O 0.424 0.074 0.425
O66 O 0.426 0.734 0.756
O67 O 0.426 0.928 0.079
O68 O 0.429 0.269 0.027
O69 O 0.429 0.410 0.094
O70 O 0.431 0.270 0.746
O71 O 0.431 0.939 0.354
O72 O 0.433 0.724 0.478
O73 O 0.560 0.258 0.244
O74 O 0.562 0.736 0.977
O75 O 0.562 0.946 0.856
O76 O 0.567 0.404 0.308
O77 O 0.567 0.594 0.911
O78 O 0.567 0.747 0.257
O79 O 0.569 0.401 0.587
O80 O 0.571 0.601 0.193
O81 O 0.572 0.080 0.928
O82 O 0.574 0.062 0.638
O83 O 0.576 0.270 0.531
O84 O 0.576 0.934 0.577
O85 O 0.596 0.916 0.255
O86 O 0.597 0.088 0.245
O87 O 0.605 0.413 0.911
O88 O 0.605 0.592 0.587
O89 O 0.608 0.918 0.975
O90 O 0.609 0.256 0.925
O91 O 0.610 0.421 0.195
O92 O 0.610 0.750 0.577
O93 O 0.611 0.080 0.531
O94 O 0.619 0.260 0.638
O95 O 0.622 0.586 0.306
O96 O 0.627 0.746 0.857
O97 O 0.659 0.152 0.740
O98 O 0.660 0.852 0.755
O99 O 0.670 0.182 0.430
O100 O 0.670 0.486 0.412
O101 O 0.675 0.513 0.806
O102 O 0.677 0.485 0.690
O103 O 0.684 0.517 0.089
O104 O 0.686 0.823 0.079
O105 O 0.690 0.156 0.031
O106 O 0.693 0.852 0.473
O107 O 0.697 0.183 0.138
O108 O 0.698 0.821 0.364
O109 O 0.796 0.320 0.864
O110 O 0.797 0.683 0.638
O111 O 0.800 0.352 0.972
O112 O 0.804 0.656 0.530
O113 O 0.809 0.322 0.578
O114 O 0.810 0.018 0.587
O115 O 0.818 0.013 0.306
O116 O 0.820 0.986 0.191
O117 O 0.821 0.989 0.914
O118 O 0.822 0.678 0.931
O119 O 0.828 0.353 0.253
O120 O 0.837 0.653 0.241
O121 O 0.874 0.084 0.806
O122 O 0.874 0.761 0.140
O123 O 0.877 0.247 0.358
O124 O 0.881 0.920 0.695
O125 O 0.882 0.579 0.032
O126 O 0.885 0.250 0.078
O127 O 0.885 0.756 0.425
O128 O 0.889 0.092 0.088
O129 O 0.889 0.913 0.411
O130 O 0.891 0.416 0.474
O131 O 0.897 0.588 0.744
O132 O 0.899 0.416 0.755
O133 O 0.917 0.433 0.078
O134 O 0.918 0.561 0.140
O135 O 0.920 0.579 0.427
O136 O 0.920 0.769 0.032
O137 O 0.924 0.102 0.692
O138 O 0.925 0.094 0.412
O139 O 0.925 0.904 0.807
O140 O 0.927 0.246 0.757
O141 O 0.927 0.900 0.088
O142 O 0.932 0.759 0.743
O143 O 0.933 0.236 0.476
O144 O 0.935 0.443 0.356
# Volume in Å³/atom: 13.64
# VASP energy in eV per formula unit: -523.96
# E (MP2020) in eV for the cell shown: -1670.807
# Calculated formation energy in meV per atom: -2612
# Crystal system: triclinic

=====

(2)
# Na6Ta2Ga2Si5SO24, optimized geometry, DFT GGA-PBE
data_Na6Ta2Ga2Si5SO24
_chemical_formula_sum 'Na18 Ta6 Ga6 Si15 S3 O72'
_cell_length_a 8.953
_cell_length_b 8.966
_cell_length_c 22.263
_cell_angle_alpha 90.37
_cell_angle_beta 90.14
_cell_angle_gamma 119.88
_symmetry_space_group_name_H-M 'P 1'
_symmetry_Int_Tables_number 1
loop_
_symmetry_equiv_pos_as_xyz
'x,y,z'
loop_
_atom_site_label
_atom_site_type_symbol
_atom_site_fract_x
_atom_site_fract_y
_atom_site_fract_z
Na1 Na 0.000 0.000 0.000
Na2 Na 0.000 0.361 0.244
Na3 Na 0.036 0.062 0.660
Na4 Na 0.047 0.710 0.158
Na5 Na 0.294 0.328 0.163
Na6 Na 0.328 0.397 0.829
Na7 Na 0.331 0.034 0.081
Na8 Na 0.331 0.671 0.327
Na9 Na 0.344 0.034 0.583
Na10 Na 0.362 0.724 0.996
Na11 Na 0.636 0.993 0.497
Na12 Na 0.666 0.064 0.162
Na13 Na 0.666 0.682 0.915
Na14 Na 0.667 0.691 0.415
Na15 Na 0.704 0.047 0.825
Na16 Na 0.976 0.662 0.829
Na17 Na 0.997 0.375 0.745
Na18 Na 0.998 0.736 0.496
Ta1 Ta 0.001 0.366 0.389
Ta2 Ta 0.331 0.036 0.929
Ta3 Ta 0.334 0.039 0.431
Ta4 Ta 0.671 0.715 0.267
Ta5 Ta 0.678 0.707 0.763
Ta6 Ta 0.993 0.370 0.597
Ga1 Ga 0.016 0.387 0.890
Ga2 Ga 0.035 0.382 0.094
Ga3 Ga 0.321 0.021 0.229
Ga4 Ga 0.340 0.019 0.726
Ga5 Ga 0.671 0.695 0.059
Ga6 Ga 0.678 0.715 0.555
Si1 Si 0.006 0.081 0.495
Si2 Si 0.044 0.744 0.325
Si3 Si 0.050 0.044 0.823
Si4 Si 0.299 0.656 0.494
Si5 Si 0.300 0.374 0.993
Si6 Si 0.334 0.743 0.826
Si7 Si 0.337 0.321 0.323
Si8 Si 0.381 0.707 0.157
Si9 Si 0.623 0.046 0.324
Si10 Si 0.626 0.320 0.825
Si11 Si 0.661 0.992 0.657
Si12 Si 0.708 0.374 0.493
Si13 Si 0.961 0.996 0.157
Si14 Si 0.967 0.708 0.658
Si15 Si 0.993 0.651 0.994
S1 S 0.383 0.414 0.658
S2 S 0.670 0.413 0.159
S3 S 0.714 0.083 0.993
O1 O 0.016 0.202 0.836
O2 O 0.029 0.556 0.334
O3 O 0.036 0.201 0.555
O4 O 0.037 0.570 0.054
O5 O 0.134 0.864 0.385
O6 O 0.134 0.998 0.884
O7 O 0.150 0.885 0.666
O8 O 0.153 0.018 0.164
O9 O 0.162 0.816 0.266
O10 O 0.163 0.561 0.550
O11 O 0.169 0.551 0.832
O12 O 0.170 0.079 0.766
O13 O 0.172 0.352 0.333
O14 O 0.175 0.058 0.488
O15 O 0.175 0.319 0.052
O16 O 0.177 0.848 0.987
O17 O 0.189 0.532 0.157
O18 O 0.203 0.542 0.434
O19 O 0.207 0.399 0.656
O20 O 0.211 0.403 0.934
O21 O 0.289 0.826 0.771
O22 O 0.306 0.210 0.263
O23 O 0.309 0.846 0.487
O24 O 0.315 0.195 0.986
O25 O 0.357 0.241 0.664
O26 O 0.364 0.880 0.164
O27 O 0.365 0.228 0.382
O28 O 0.377 0.868 0.887
O29 O 0.463 0.521 0.715
O30 O 0.473 0.671 0.217
O31 O 0.487 0.498 0.606
O32 O 0.487 0.549 0.001
O33 O 0.490 0.683 0.499
O34 O 0.497 0.231 0.884
O35 O 0.498 0.019 0.665
O36 O 0.501 0.001 0.384
O37 O 0.503 0.738 0.099
O38 O 0.505 0.518 0.318
O39 O 0.509 0.725 0.819
O40 O 0.516 0.241 0.164
O41 O 0.527 0.192 0.487
O42 O 0.534 0.059 0.989
O43 O 0.535 0.196 0.768
O44 O 0.539 0.068 0.263
O45 O 0.638 0.866 0.320
O46 O 0.639 0.490 0.105
O47 O 0.640 0.513 0.820
O48 O 0.641 0.878 0.599
O49 O 0.692 0.907 0.997
O50 O 0.696 0.896 0.717
O51 O 0.698 0.524 0.213
O52 O 0.698 0.546 0.501
O53 O 0.789 0.186 0.048
O54 O 0.801 0.332 0.551
O55 O 0.817 0.160 0.939
O56 O 0.817 0.206 0.333
O57 O 0.817 0.346 0.834
O58 O 0.826 0.396 0.155
O59 O 0.832 0.894 0.215
O60 O 0.835 0.692 0.999
O61 O 0.836 0.892 0.496
O62 O 0.838 0.402 0.437
O63 O 0.840 0.673 0.718
O64 O 0.850 0.179 0.655
O65 O 0.853 0.722 0.318
O66 O 0.858 0.863 0.820
O67 O 0.874 0.736 0.600
O68 O 0.875 0.871 0.098
O69 O 0.967 0.184 0.153
O70 O 0.971 0.544 0.933
O71 O 0.975 0.178 0.438
O72 O 0.983 0.532 0.655
# Volume in Å³/atom: 12.91
# VASP energy in eV per formula unit: -281.49
# E (MP2020) in eV for the cell shown: -893.942
# Calculated formation energy in meV per atom: -2756
# Crystal system: triclinic